Material: Al4Ni15
Method: DFT, PBE-GGA
State: relaxed

Cell: 3.575 3.575 17.292 Å, 90.00 90.00 90.00°
Fractional positions:
Al 0.000 0.000 0.100
Al 0.000 0.000 0.306
Al 0.000 0.000 0.694
Al 0.000 0.000 0.900
Ni 0.000 0.500 0.000
Ni 0.000 0.500 0.203
Ni 0.000 0.500 0.410
Ni 0.000 0.500 0.590
Ni 0.000 0.500 0.797
Ni 0.500 0.000 0.000
Ni 0.500 0.000 0.203
Ni 0.500 0.000 0.410
Ni 0.500 0.000 0.590
Ni 0.500 0.000 0.797
Ni 0.500 0.500 0.101
Ni 0.500 0.500 0.306
Ni 0.500 0.500 0.500
Ni 0.500 0.500 0.694
Ni 0.500 0.500 0.899

Properties
symmetry	P4/mmm (123)
DFT total energy	-5.6278	eV/atom
ρ	7.42	g cm⁻³
crystal system	tetragonal

=====

Material: CeTm3S6
Method: DFT, PBE-GGA
State: relaxed

Cell: 11.031 3.955 11.244 Å, 90.00 108.83 90.00°
Fractional positions:
Ce 0.050 0.250 0.195
Ce 0.950 0.750 0.805
Tm 0.160 0.250 0.586
Tm 0.320 0.750 0.000
Tm 0.443 0.250 0.334
Tm 0.557 0.750 0.666
Tm 0.680 0.250 0.000
Tm 0.840 0.750 0.414
S 0.081 0.750 0.406
S 0.119 0.250 0.963
S 0.197 0.750 0.750
S 0.268 0.750 0.230
S 0.393 0.250 0.557
S 0.479 0.250 0.112
S 0.521 0.750 0.888
S 0.607 0.750 0.443
S 0.732 0.250 0.770
S 0.803 0.250 0.250
S 0.881 0.750 0.037
S 0.919 0.250 0.594

Properties
symmetry	P2_1/m (11)
DFT total energy	-6.4847	eV/atom
ρ	6.00	g cm⁻³
crystal system	monoclinic

=====

Material: Cs2HfO3
Method: DFT, PBE-GGA
State: relaxed

Cell: 7.206 15.195 18.682 Å, 90.00 106.54 90.00°
Fractional positions:
Cs 0.004 0.110 0.084
Cs 0.004 0.390 0.584
Cs 0.117 0.624 0.867
Cs 0.117 0.876 0.367
Cs 0.134 0.191 0.308
Cs 0.134 0.309 0.808
Cs 0.271 0.087 0.530
Cs 0.271 0.413 0.030
Cs 0.346 0.010 0.783
Cs 0.346 0.490 0.283
Cs 0.454 0.150 0.993
Cs 0.454 0.350 0.493
Cs 0.546 0.650 0.507
Cs 0.546 0.850 0.007
Cs 0.654 0.510 0.717
Cs 0.654 0.990 0.217
Cs 0.729 0.587 0.970
Cs 0.729 0.913 0.470
Cs 0.866 0.691 0.192
Cs 0.866 0.809 0.692
Cs 0.883 0.124 0.633
Cs 0.883 0.376 0.133
Cs 0.996 0.610 0.416
Cs 0.996 0.890 0.916
Hf 0.159 0.626 0.633
Hf 0.159 0.874 0.133
Hf 0.276 0.648 0.102
Hf 0.276 0.852 0.602
Hf 0.467 0.746 0.287
Hf 0.467 0.754 0.787
Hf 0.533 0.246 0.213
Hf 0.533 0.254 0.713
Hf 0.724 0.148 0.398
Hf 0.724 0.352 0.898
Hf 0.841 0.126 0.867
Hf 0.841 0.374 0.367
O 0.092 0.088 0.863
O 0.092 0.412 0.363
O 0.098 0.555 0.107
O 0.098 0.945 0.607
O 0.123 0.740 0.577
O 0.123 0.760 0.077
O 0.267 0.229 0.660
O 0.267 0.271 0.160
O 0.277 0.543 0.581
O 0.277 0.957 0.081
O 0.315 0.697 0.347
O 0.315 0.803 0.847
O 0.333 0.644 0.738
O 0.333 0.856 0.238
O 0.415 0.626 0.030
O 0.415 0.874 0.530
O 0.467 0.662 0.204
O 0.467 0.838 0.704
O 0.533 0.162 0.296
O 0.533 0.338 0.796
O 0.585 0.126 0.470
O 0.585 0.374 0.970
O 0.667 0.144 0.762
O 0.667 0.356 0.262
O 0.685 0.197 0.153
O 0.685 0.303 0.653
O 0.723 0.043 0.919
O 0.723 0.457 0.419
O 0.733 0.729 0.840
O 0.733 0.771 0.340
O 0.877 0.240 0.923
O 0.877 0.260 0.423
O 0.902 0.055 0.393
O 0.902 0.445 0.893
O 0.908 0.588 0.637
O 0.908 0.912 0.137

Properties
symmetry	P2_1/c (14)
DFT total energy	-6.8487	eV/atom
ρ	5.00	g cm⁻³
crystal system	monoclinic

=====

Material: Rb2UCl4O4
Method: DFT, PBE-GGA
State: relaxed

Cell: 6.757 6.995 7.578 Å, 78.59 76.59 61.53°
Fractional positions:
Rb 0.190 0.243 0.254
Rb 0.810 0.757 0.746
U 0.500 0.500 0.500
Cl 0.282 0.879 0.644
Cl 0.483 0.715 0.163
Cl 0.517 0.285 0.837
Cl 0.718 0.121 0.356
O 0.015 0.732 0.083
O 0.228 0.508 0.498
O 0.772 0.492 0.502
O 0.985 0.268 0.917

Properties
symmetry	P-1 (2)
ρ	3.35	g cm⁻³
crystal system	triclinic
energy relative to the lowest polymorph listed for this composition	0.48	eV per formula unit

=====

Material: EuNi2Ge2
Method: DFT, PBE-GGA
State: relaxed

Cell: 5.824 5.824 5.824 Å, 138.39 138.39 60.31°
Fractional positions:
Eu 0.000 0.000 0.000
Ni 0.250 0.750 0.500
Ni 0.750 0.250 0.500
Ge 0.366 0.366 0.000
Ge 0.634 0.634 0.000

Properties
symmetry	I4/mmm (139)
DFT total energy	-6.7962	eV/atom
ρ	7.99	g cm⁻³
crystal system	tetragonal

=====

Material: Mg6Si5
Method: DFT, PBE-GGA
State: relaxed

Cell: 5.297 5.403 14.583 Å, 83.07 79.59 83.32°
Fractional positions:
Mg 0.000 0.000 0.000
Mg 0.001 0.195 0.458
Mg 0.047 0.487 0.110
Mg 0.130 0.686 0.348
Mg 0.336 0.925 0.603
Mg 0.363 0.062 0.811
Mg 0.446 0.830 0.155
Mg 0.460 0.455 0.492
Mg 0.568 0.997 0.370
Mg 0.597 0.651 0.964
Mg 0.874 0.686 0.562
Mg 0.908 0.808 0.767
Si 0.136 0.514 0.917
Si 0.141 0.201 0.269
Si 0.163 0.375 0.674
Si 0.449 0.569 0.770
Si 0.484 0.163 0.987
Si 0.548 0.321 0.152
Si 0.696 0.517 0.298
Si 0.746 0.199 0.639
Si 0.818 0.271 0.846
Si 0.903 0.952 0.192

Properties
symmetry	P1 (1)
ρ	2.34	g cm⁻³
crystal system	triclinic
energy relative to the lowest polymorph listed for this composition	1.02	eV per formula unit